Computed, not measured: a relaxed structure of Zr9In14Co7 at the PBE level of DFT.

Cell lengths 9.460, 9.460, 9.460 Å; angles 60.00, 60.00, 60.00 degrees
Positions (direct):
Zr (0.121, 0.637, 0.121)
Zr (0.363, 0.879, 0.879)
Zr (0.879, 0.879, 0.879)
Zr (0.637, 0.121, 0.121)
Zr (0.500, 0.500, 0.500)
Zr (0.879, 0.879, 0.363)
Zr (0.121, 0.121, 0.121)
Zr (0.879, 0.363, 0.879)
Zr (0.121, 0.121, 0.637)
In (0.500, 0.842, 0.158)
In (0.500, 0.842, 0.500)
In (0.500, 0.158, 0.500)
In (0.500, 0.500, 0.842)
In (0.158, 0.500, 0.500)
In (0.842, 0.158, 0.500)
In (0.158, 0.842, 0.500)
In (0.500, 0.158, 0.842)
In (0.158, 0.500, 0.842)
In (0.500, 0.500, 0.158)
In (0.842, 0.500, 0.500)
In (0.842, 0.500, 0.158)
In (0.250, 0.250, 0.250)
In (0.750, 0.750, 0.750)
Co (0.780, 0.780, 0.220)
Co (0.000, 0.000, 0.000)
Co (0.220, 0.780, 0.220)
Co (0.220, 0.780, 0.780)
Co (0.220, 0.220, 0.780)
Co (0.780, 0.220, 0.780)
Co (0.780, 0.220, 0.220)

Summary:
ΔH_f (0 K) ... -300.2 meV/atom
DFT total energy ... -174.22 eV per cell